# 1
VASP calculation (r²SCAN) on crystalline La3Yb at its relaxed geometry.

Lattice parameters (Å, degrees): 7.5345 7.5345 5.8967 90.00 90.00 120.00
Space group P6_3/mmc (No. 194)
Unique sites:
La (0.1710, 0.3420, 0.2500) [6 per cell]
Yb (0.3333, 0.6667, 0.7500) [2 per cell]

---

# 2
VASP calculation (r²SCAN) on crystalline SmSi at its relaxed geometry.

Lattice parameters (Å, degrees): 8.1382 3.8952 5.8455 90.00 90.00 90.00
Space group Pnma (No. 62)
Unique sites:
Sm (0.1793, 0.2500, 0.1143) [4 per cell]
Si (0.0359, 0.2500, 0.6235) [4 per cell]

---

# 3
VASP calculation (r²SCAN) on crystalline Er2Al3Si2 at its relaxed geometry.

Lattice parameters (Å, degrees): 4.0098 5.4003 6.5440 99.97 90.09 111.78
Space group P-1 (No. 2)
Unique sites:
Er (0.1196, 0.2388, 0.3225) [2 per cell]
Al (0.1954, 0.3903, 0.8677) [2 per cell]
Al (0.5000, 0.0000, 0.0000) [1 per cell]
Si (0.4069, 0.8140, 0.3598) [2 per cell]

---

# 4
VASP calculation (r²SCAN) on crystalline NaSbF6 at its relaxed geometry.

Lattice parameters (Å, degrees): 8.2538 8.2538 8.2538 90.00 90.00 90.00
Space group Pa-3 (No. 205)
Unique sites:
Na (0.0000, 0.0000, 0.0000) [4 per cell]
Sb (0.0000, 0.0000, 0.5000) [4 per cell]
F (0.0101, 0.0105, 0.7287) [24 per cell]

---

no.,E_form (eV per atom)
1,0.025
2,-0.863
3,-0.570
4,-2.714